# 1
# MnP2O7

Crystalline MnP2O7 at its relaxed geometry (PBE with a Hubbard U, the Materials Project).

a b c (Å): 6.8382 9.4428 9.0210
angles (deg): 118.00 99.38 96.56
Element x y z (fractional)
P (0.8618, 0.6213, 0.8584)
P (0.1383, 0.8787, 0.6416)
P (0.1382, 0.3787, 0.1416)
P (0.7466, 0.2118, 0.9008)
P (0.8618, 0.1213, 0.3584)
P (0.7466, 0.7118, 0.4008)
P (0.2534, 0.2882, 0.5993)
P (0.2534, 0.7882, 0.0992)
O (0.0329, 0.6660, 0.0283)
O (0.2353, 0.9159, 0.0399)
O (0.9352, 0.0067, 0.2012)
O (0.2909, 0.3558, 0.7947)
O (0.5957, 0.3105, 0.9879)
O (0.6719, 0.0199, 0.3596)
O (0.9671, 0.8340, 0.4717)
O (0.1682, 0.7179, 0.6362)
O (0.0329, 0.1660, 0.5283)
O (0.8318, 0.7821, 0.8638)
O (0.2909, 0.8558, 0.2947)
O (0.4043, 0.6895, 0.0121)
O (0.5957, 0.8105, 0.4879)
O (0.3281, 0.9801, 0.6404)
O (0.7647, 0.5841, 0.4601)
O (0.4043, 0.1895, 0.5121)
O (0.2353, 0.4159, 0.5399)
O (0.7091, 0.1442, 0.7053)
O (0.3281, 0.4800, 0.1405)
O (0.0648, 0.4933, 0.2988)
O (0.0648, 0.9933, 0.7988)
O (0.6719, 0.5200, 0.8596)
O (0.8318, 0.2821, 0.3638)
O (0.7091, 0.6442, 0.2053)
O (0.9671, 0.3340, 0.9717)
O (0.1682, 0.2179, 0.1363)
O (0.7647, 0.0841, 0.9601)
O (0.9352, 0.5067, 0.7012)
Mn (0.0000, 0.4998, 0.4998)
Mn (0.0002, 0.0001, 0.0000)
Mn (0.5000, 0.5000, 0.0002)
Mn (0.5000, 0.0000, 0.4998)

Computed properties:
For the MP2020-corrected energy, the calculation gives -0.28835 Ha/atom. For the energy above the lowest structure with this stoichiometry, the calculation gives 0.0 meV per atom. Its volume is 495 Å³ per cell. For the raw total energy, the calculation gives -72.0 eV/f.u.

=====

# 2
# InFeCoO4

Crystalline InFeCoO4 at its relaxed geometry (PBE with a Hubbard U, the Materials Project).

a b c (Å): 6.2356 6.2356 6.2356
angles (deg): 120.88 119.20 89.94
Element x y z (fractional)
O (0.2747, 0.7486, 0.5261)
O (0.7224, 0.7486, 0.9739)
O (0.7253, 0.2514, 0.4739)
O (0.2776, 0.2514, 0.0261)
O (0.2661, 0.7584, 0.9923)
O (0.7339, 0.7263, 0.4923)
O (0.7339, 0.2416, 0.0077)
O (0.2661, 0.2737, 0.5077)
In (0.0000, 0.5000, 0.5000)
In (0.5000, 0.5000, 0.0000)
Co (0.1258, 0.8758, 0.2500)
Co (0.8742, 0.1242, 0.7500)
Fe (0.5000, 0.5000, 0.5000)
Fe (0.5000, 0.0000, 0.0000)

Computed properties:
For the MP2020-corrected energy, the calculation gives -0.26055 Ha/atom. Its volume is 171 Å³ per cell. As for the crystal system: orthorhombic. For the raw total energy, the calculation gives -43.0 eV/f.u. For the total moment, the calculation gives 8.00 μB per formula unit.